Record 1
A plane-wave DFT calculation with PBE-GGA was carried out for an optimized crystal structure of Cs3P11H9N3.

a = 9.5878 Å, b = 15.8667 Å, c = 17.8625 Å
α = 90.00°, β = 121.09°, γ = 90.00°
With the nearest neighbours (Å) after each atom.
Atoms (fractional coordinates):
Cs1 0.0186 0.2101 0.3577  1 N 3.09, 2 H 3.31-3.37
Cs2 0.0186 0.2899 0.8577  1 N 3.09, 2 H 3.31-3.37
Cs3 0.1988 0.6037 0.9519  1 N 3.55, 5 H 3.61-3.87, 5 P 3.74-3.87
Cs4 0.1988 0.8963 0.4519  1 N 3.55, 5 H 3.61-3.87, 5 P 3.74-3.87
Cs5 0.4660 0.1394 0.0656  2 H 3.02-3.19, 1 N 3.14
Cs6 0.4660 0.3606 0.5656  2 H 3.02-3.19, 1 N 3.14
Cs7 0.5340 0.6394 0.4344  2 H 3.02-3.19, 1 N 3.14
Cs8 0.5340 0.8606 0.9344  2 H 3.02-3.19, 1 N 3.14
Cs9 0.8012 0.1037 0.5481  1 N 3.55, 5 H 3.61-3.87, 5 P 3.74-3.87
Cs10 0.8012 0.3963 0.0481  1 N 3.55, 5 H 3.61-3.87, 5 P 3.74-3.87
Cs11 0.9814 0.7101 0.1423  1 N 3.09, 2 H 3.31-3.37
Cs12 0.9814 0.7899 0.6423  1 N 3.09, 2 H 3.31-3.37
P1 0.1762 0.5028 0.2424  2 P 2.17-2.18
P2 0.1762 0.9972 0.7424  2 P 2.17-2.18
P3 0.2358 0.0992 0.5948  3 P 2.17-2.26
P4 0.2358 0.4008 0.0948  3 P 2.17-2.26
P5 0.2756 0.1981 0.6951  3 P 2.26-2.28
P6 0.2756 0.3019 0.1951  3 P 2.26-2.28
P7 0.2834 0.1179 0.8028  3 P 2.18-2.28
P8 0.2834 0.3821 0.3028  3 P 2.18-2.28
P9 0.3093 0.5182 0.1750  3 P 2.17-2.27
P10 0.3093 0.9818 0.6750  3 P 2.17-2.27
P11 0.3404 0.7057 0.6099  2 P 2.17
P12 0.3404 0.7943 0.1099  2 P 2.17
P13 0.3718 0.6168 0.7904  3 P 2.18-2.27
P14 0.3718 0.8832 0.2904  3 P 2.18-2.27
P15 0.4277 0.5113 0.7239  3 P 2.27
P16 0.4277 0.9887 0.2239  3 P 2.27
P17 0.4366 0.1124 0.5721  2 P 2.17-2.18
P18 0.4366 0.3876 0.0721  2 P 2.17-2.18
P19 0.4533 0.5838 0.6220  3 P 2.17-2.27
P20 0.4533 0.9162 0.1220  3 P 2.17-2.27
P21 0.4576 0.7276 0.7494  3 P 2.17-2.26
P22 0.4576 0.7724 0.2494  3 P 2.17-2.26
P23 0.5424 0.2276 0.7506  3 P 2.17-2.26
P24 0.5424 0.2724 0.2506  3 P 2.17-2.26
P25 0.5467 0.0838 0.8780  3 P 2.17-2.27
P26 0.5467 0.4162 0.3780  3 P 2.17-2.27
P27 0.5634 0.6124 0.9279  2 P 2.17-2.18
P28 0.5634 0.8876 0.4279  2 P 2.17-2.18
P29 0.5723 0.0113 0.7761  3 P 2.27
P30 0.5723 0.4887 0.2761  3 P 2.27
P31 0.6282 0.1168 0.7096  3 P 2.18-2.27
P32 0.6282 0.3832 0.2096  3 P 2.18-2.27
P33 0.6596 0.2057 0.8901  2 P 2.17
P34 0.6596 0.2943 0.3901  2 P 2.17
P35 0.6907 0.0182 0.3250  3 P 2.17-2.27
P36 0.6907 0.4818 0.8250  3 P 2.17-2.27
P37 0.7166 0.6179 0.6972  3 P 2.18-2.28
P38 0.7166 0.8821 0.1972  3 P 2.18-2.28
P39 0.7244 0.6981 0.8049  3 P 2.26-2.28
P40 0.7244 0.8019 0.3049  3 P 2.26-2.28
P41 0.7642 0.5992 0.9052  3 P 2.17-2.26
P42 0.7642 0.9008 0.4052  3 P 2.17-2.26
P43 0.8238 0.0028 0.2576  2 P 2.17-2.18
P44 0.8238 0.4972 0.7576  2 P 2.17-2.18
H1 0.0125 0.6225 0.5354  1 N 1.03
H2 0.0125 0.8775 0.0354  1 N 1.03
H3 0.0460 0.6300 0.3551  1 N 1.02
H4 0.0460 0.8700 0.8551  1 N 1.02
H5 0.0604 0.0677 0.9145  1 N 1.03
H6 0.0604 0.4323 0.4145  1 N 1.03
H7 0.1309 0.0520 0.0188  1 N 1.02
H8 0.1309 0.4480 0.5188  1 N 1.02
H9 0.1834 0.6924 0.3581  1 N 1.02
H10 0.1834 0.8076 0.8581  1 N 1.02
H11 0.1920 0.6663 0.4497  1 N 1.03
H12 0.1920 0.8337 0.9497  1 N 1.03
H13 0.2803 0.1056 0.2837  1 N 1.03
H14 0.2803 0.3944 0.7837  1 N 1.03
H15 0.3491 0.0835 0.3866  1 N 1.02
H16 0.3491 0.4165 0.8866  1 N 1.02
H17 0.3805 0.1766 0.3587  1 N 1.03
H18 0.3805 0.3234 0.8587  1 N 1.03
H19 0.6195 0.6766 0.1413  1 N 1.03
H20 0.6195 0.8234 0.6413  1 N 1.03
H21 0.6509 0.5835 0.1134  1 N 1.02
H22 0.6509 0.9165 0.6134  1 N 1.02
H23 0.7197 0.6056 0.2163  1 N 1.03
H24 0.7197 0.8944 0.7163  1 N 1.03
H25 0.8080 0.1663 0.0503  1 N 1.03
H26 0.8080 0.3337 0.5503  1 N 1.03
H27 0.8166 0.1924 0.1419  1 N 1.02
H28 0.8166 0.3076 0.6419  1 N 1.02
H29 0.8691 0.5520 0.4812  1 N 1.02
H30 0.8691 0.9480 0.9812  1 N 1.02
H31 0.9396 0.5677 0.5855  1 N 1.03
H32 0.9396 0.9323 0.0855  1 N 1.03
H33 0.9540 0.1300 0.1449  1 N 1.02
H34 0.9540 0.3700 0.6449  1 N 1.02
H35 0.9875 0.1225 0.9646  1 N 1.03
H36 0.9875 0.3775 0.4646  1 N 1.03
N1 0.0928 0.0980 0.9720  3 H 1.02-1.03
N2 0.0928 0.4020 0.4720  3 H 1.02-1.03
N3 0.1138 0.6824 0.3855  3 H 1.02-1.03
N4 0.1138 0.8176 0.8855  3 H 1.02-1.03
N5 0.2947 0.1300 0.3405  3 H 1.02-1.03
N6 0.2947 0.3700 0.8405  3 H 1.02-1.03
N7 0.7053 0.6300 0.1595  3 H 1.02-1.03
N8 0.7053 0.8700 0.6595  3 H 1.02-1.03
N9 0.8862 0.1824 0.1145  3 H 1.02-1.03
N10 0.8862 0.3176 0.6145  3 H 1.02-1.03
N11 0.9072 0.5980 0.5280  3 H 1.02-1.03
N12 0.9072 0.9020 0.0280  3 H 1.02-1.03

Summary:
As for the formation energy: -9.286 eV per formula unit. The value obtained for the total magnetic moment is 0.1 μB/f.u. Its crystal system is monoclinic.

Record 2
A plane-wave DFT calculation with PBE-GGA was carried out for an optimized crystal structure of SbO2.

a = 5.5814 Å, b = 10.4912 Å, c = 6.0662 Å
α = 90.00°, β = 90.00°, γ = 90.00°
With the nearest neighbours (Å) after each atom.
Atoms (fractional coordinates):
Sb1 0.0978 0.2500 0.2500  2 O 2.05
Sb2 0.2500 0.0000 0.6541  6 O 1.96-2.14
Sb3 0.2500 0.5000 0.8459  6 O 1.96-2.14
Sb4 0.4022 0.7500 0.2500  2 O 2.05
Sb5 0.5978 0.2500 0.7500  2 O 2.05
Sb6 0.7500 0.0000 0.3459  6 O 1.96-2.14
Sb7 0.7500 0.5000 0.1541  6 O 1.96-2.14
Sb8 0.9022 0.7500 0.7500  2 O 2.05
O1 0.0209 0.6160 0.0444  2 Sb 2.05-2.14
O2 0.0209 0.8840 0.4556  2 Sb 2.05-2.14
O3 0.1429 0.6224 0.6224  2 Sb 1.96-2.05
O4 0.1429 0.8776 0.8776  2 Sb 1.96-2.05
O5 0.3571 0.1224 0.8776  2 Sb 1.96-2.05
O6 0.3571 0.3776 0.6224  2 Sb 1.96-2.05
O7 0.4791 0.1160 0.4556  2 Sb 2.05-2.14
O8 0.4791 0.3840 0.0444  2 Sb 2.05-2.14
O9 0.5209 0.6160 0.9556  2 Sb 2.05-2.14
O10 0.5209 0.8840 0.5444  2 Sb 2.05-2.14
O11 0.6429 0.6224 0.3776  2 Sb 1.96-2.05
O12 0.6429 0.8776 0.1224  2 Sb 1.96-2.05
O13 0.8571 0.1224 0.1224  2 Sb 1.96-2.05
O14 0.8571 0.3776 0.3776  2 Sb 1.96-2.05
O15 0.9791 0.1160 0.5444  2 Sb 2.05-2.14
O16 0.9791 0.3840 0.9556  2 Sb 2.05-2.14

Summary:
As for the formation energy: -5.197 eV per formula unit. The value obtained for the total magnetic moment is 0.0 μB/f.u. Its crystal system is orthorhombic.

Record 3
A plane-wave DFT calculation with PBE-GGA was carried out for an optimized crystal structure of MoPb.

a = 4.1291 Å, b = 4.1291 Å, c = 9.5960 Å
α = 90.00°, β = 90.00°, γ = 90.00°
With the nearest neighbours (Å) after each atom.
Atoms (fractional coordinates):
Mo1 0.0000 0.2500 0.3750  8 Pb 2.92-3.17, 4 Mo 3.17
Mo2 0.0000 0.7500 0.6250  8 Pb 2.92-3.17, 4 Mo 3.17
Mo3 0.5000 0.2500 0.1250  8 Pb 2.92-3.17, 4 Mo 3.17
Mo4 0.5000 0.7500 0.8750  8 Pb 2.92-3.17, 4 Mo 3.17
Pb1 0.0000 0.2500 0.8750  8 Mo 2.92-3.17, 4 Pb 3.17
Pb2 0.0000 0.7500 0.1250  8 Mo 2.92-3.17, 4 Pb 3.17
Pb3 0.5000 0.2500 0.6250  8 Mo 2.92-3.17, 4 Pb 3.17
Pb4 0.5000 0.7500 0.3750  8 Mo 2.92-3.17, 4 Pb 3.17

Summary:
As for the formation energy: 1.938 eV per formula unit. The value obtained for the total magnetic moment is 0.0 μB/f.u. Its crystal system is tetragonal.

Record 4
A plane-wave DFT calculation with PBE-GGA was carried out for an optimized crystal structure of Zn2PdO4.

a = 6.1452 Å, b = 6.1452 Å, c = 6.1452 Å
α = 60.00°, β = 60.00°, γ = 60.00°
With the nearest neighbours (Å) after each atom.
Atoms (fractional coordinates):
Zn1 0.0000 0.0000 0.0000  6 O 2.10
Zn2 0.0000 0.0000 0.5000  6 O 2.10
Zn3 0.0000 0.5000 0.0000  6 O 2.10
Zn4 0.5000 0.0000 0.0000  6 O 2.10
Pd1 0.3750 0.3750 0.3750  4 O 2.02
Pd2 0.6250 0.6250 0.6250  4 O 2.02
O1 0.2222 0.7593 0.7593  1 Pd 2.02, 3 Zn 2.10
O2 0.2407 0.2407 0.2407  1 Pd 2.02, 3 Zn 2.10
O3 0.2407 0.2407 0.7778  1 Pd 2.02, 3 Zn 2.10
O4 0.2407 0.7778 0.2407  1 Pd 2.02, 3 Zn 2.10
O5 0.7593 0.2222 0.7593  1 Pd 2.02, 3 Zn 2.10
O6 0.7593 0.7593 0.2222  1 Pd 2.02, 3 Zn 2.10
O7 0.7593 0.7593 0.7593  1 Pd 2.02, 3 Zn 2.10
O8 0.7778 0.2407 0.2407  1 Pd 2.02, 3 Zn 2.10

Summary:
As for the formation energy: -7.400 eV per formula unit. The value obtained for the total magnetic moment is 0.1 μB/f.u. Its crystal system is cubic.